1.
Computed, not measured: crystalline Li4MnFe3B4O12 at its relaxed geometry at the PBE with a Hubbard U level of DFT.

a = 5.221 Å, b = 5.226 Å, c = 20.873 Å
α = 91.08°, β = 90.74°, γ = 119.85°
Fractional coordinates of all 48 atoms:
Li: 0.000 0.000 0.000
Li: 0.000 0.001 0.500
Li: 0.026 0.975 0.250
Li: 0.028 0.975 0.750
Li: 0.330 0.315 0.625
Li: 0.331 0.318 0.125
Li: 0.340 0.304 0.375
Li: 0.344 0.307 0.875
Mn: 0.674 0.980 0.643
Mn: 0.678 0.333 0.517
Fe: 0.006 0.655 0.892
Fe: 0.011 0.657 0.391
Fe: 0.358 0.648 0.267
Fe: 0.361 0.652 0.768
Fe: 0.675 0.334 0.018
Fe: 0.680 0.984 0.142
B: 0.012 0.647 0.146
B: 0.014 0.648 0.646
B: 0.338 0.657 0.520
B: 0.340 0.658 0.021
B: 0.672 0.986 0.395
B: 0.672 0.986 0.896
B: 0.682 0.315 0.771
B: 0.684 0.316 0.271
O: 0.028 0.920 0.152
O: 0.042 0.924 0.653
O: 0.095 0.677 0.000
O: 0.102 0.691 0.499
O: 0.256 0.612 0.662
O: 0.260 0.623 0.161
O: 0.305 0.380 0.528
O: 0.317 0.382 0.027
O: 0.407 0.291 0.778
O: 0.408 0.292 0.277
O: 0.424 0.721 0.375
O: 0.425 0.722 0.875
O: 0.610 0.912 0.035
O: 0.612 0.907 0.536
O: 0.647 0.235 0.410
O: 0.649 0.235 0.911
O: 0.703 0.069 0.752
O: 0.704 0.070 0.251
O: 0.747 0.399 0.125
O: 0.748 0.406 0.625
O: 0.937 0.584 0.786
O: 0.938 0.586 0.285
O: 0.944 0.003 0.402
O: 0.946 0.004 0.902

Computed properties:
The energy above the lowest structure with this stoichiometry comes out at 0 meV/atom. As for the formation energy: -2376 meV per atom. As for the space-group type: P1 (1). As for the electronic total energy: -7.03 eV/atom.

2.
Computed, not measured: crystalline Li2MnFeB2O6 at its relaxed geometry at the PBE with a Hubbard U level of DFT.

a = 5.236 Å, b = 5.238 Å, c = 20.849 Å
α = 87.93°, β = 89.12°, γ = 60.08°
Fractional coordinates of all 48 atoms:
Li: 0.000 0.000 0.000
Li: 0.000 0.001 0.499
Li: 0.010 0.313 0.874
Li: 0.012 0.317 0.374
Li: 0.963 0.346 0.626
Li: 0.968 0.013 0.250
Li: 0.974 0.028 0.750
Li: 0.975 0.339 0.124
Mn: 0.313 0.670 0.642
Mn: 0.324 0.333 0.517
Mn: 0.328 0.334 0.016
Mn: 0.665 0.986 0.389
Fe: 0.309 0.672 0.142
Fe: 0.645 0.681 0.768
Fe: 0.654 0.661 0.265
Fe: 0.672 0.979 0.893
B: 0.317 0.336 0.268
B: 0.325 0.340 0.772
B: 0.329 0.656 0.894
B: 0.331 0.660 0.393
B: 0.647 0.007 0.647
B: 0.652 0.668 0.520
B: 0.653 0.667 0.020
B: 0.656 0.000 0.146
O: 0.063 0.317 0.276
O: 0.070 0.326 0.779
O: 0.076 0.931 0.900
O: 0.085 0.936 0.401
O: 0.301 0.602 0.250
O: 0.310 0.409 0.409
O: 0.311 0.604 0.752
O: 0.314 0.401 0.909
O: 0.375 0.702 0.536
O: 0.377 0.702 0.036
O: 0.379 0.244 0.626
O: 0.392 0.246 0.126
O: 0.588 0.085 0.282
O: 0.594 0.638 0.876
O: 0.599 0.630 0.373
O: 0.600 0.090 0.786
O: 0.670 0.734 0.662
O: 0.672 0.728 0.159
O: 0.674 0.911 0.498
O: 0.674 0.911 0.999
O: 0.893 0.037 0.653
O: 0.901 0.393 0.528
O: 0.903 0.393 0.028
O: 0.908 0.024 0.152

Computed properties:
The energy above the lowest structure with this stoichiometry comes out at 2 meV/atom. As for the formation energy: -2419 meV per atom. As for the space-group type: P1 (1). As for the electronic total energy: -7.12 eV/atom.